First-principles (GGA+U) data for Ca2Fe2O5 after structural relaxation, as listed in the Materials Project.

Cell: 5.4623 10.4904 3.9358 Å, 90.00 90.00 90.00°
Positions (direct):
Ca 0.2216 0.1154 0.0000
Ca 0.2784 0.6154 0.0000
Ca 0.7216 0.3846 0.0000
Ca 0.7784 0.8846 0.0000
Fe 0.2384 0.3642 0.5000
Fe 0.2616 0.8642 0.5000
Fe 0.7384 0.1358 0.5000
Fe 0.7616 0.6358 0.5000
O 0.0000 0.0000 0.5000
O 0.1058 0.7012 0.5000
O 0.2037 0.3931 0.0000
O 0.2963 0.8931 0.0000
O 0.3942 0.2012 0.5000
O 0.5000 0.5000 0.5000
O 0.6058 0.7988 0.5000
O 0.7037 0.1069 0.0000
O 0.7963 0.6069 0.0000
O 0.8942 0.2988 0.5000

Values from the calculation:
Energy of formation from the pure elements: -2358 meV/atom
Distance to the lowest polymorph of the same formula: 99 meV per atom
Space group: No. 55
Total moment: 10.0 μB/f.u.